Here is a geometry-optimized Re5Ni2As12 structure from the Materials Project. Energies are from PBE.

a = 12.649 Å, b = 15.743 Å, c = 3.249 Å
α = 90.00°, β = 90.00°, γ = 90.00°
Space group Pnnm (No. 58)
Symmetry-distinct sites (fractional):
Re 0.000 0.000 0.000 x2
Re 0.079 0.262 0.500 x4
Re 0.184 0.399 0.000 x4
Ni 0.129 0.653 0.500 x4
As 0.035 0.422 0.500 x4
As 0.070 0.762 0.000 x4
As 0.093 0.098 0.500 x4
As 0.159 0.909 0.000 x4
As 0.208 0.559 0.000 x4
As 0.226 0.243 0.000 x4

E_tot = -6.9529 eV/atom
Formation energy = -0.1270 eV/atom

---

Here is a geometry-optimized NiAs2Rh3 structure from the Materials Project. Energies are from PBE.

a = 3.956 Å, b = 7.509 Å, c = 5.787 Å
α = 90.00°, β = 90.00°, γ = 90.00°
Space group Pmc2_1 (No. 26)
Symmetry-distinct sites (fractional):
Ni 0.000 0.069 0.000 x2
As 0.000 0.357 0.810 x2
As 0.500 0.140 0.268 x2
Rh 0.000 0.318 0.388 x2
Rh 0.500 0.171 0.689 x2
Rh 0.500 0.429 0.065 x2

E_tot = -6.5310 eV/atom
Formation energy = -0.3324 eV/atom

---

Here is a geometry-optimized NiAsRh structure from the Materials Project. Energies are from PBE.

a = 3.615 Å, b = 3.615 Å, c = 6.198 Å
α = 90.00°, β = 90.00°, γ = 90.00°
Space group P4/nmm (No. 129, origin choice 2)
Symmetry-distinct sites (fractional):
Ni 0.250 0.750 0.000 x2
As 0.250 0.250 0.252 x2
Rh 0.250 0.250 0.638 x2

E_tot = -6.3357 eV/atom
Formation energy = -0.4012 eV/atom

---

Here is a geometry-optimized ScNi4As2 structure from the Materials Project. Energies are from PBE.

a = 7.084 Å, b = 7.084 Å, c = 3.747 Å
α = 90.00°, β = 90.00°, γ = 90.00°
Space group P4_2/mnm (No. 136)
Symmetry-distinct sites (fractional):
Sc 0.000 0.000 0.000 x2
Ni 0.090 0.345 0.500 x8
As 0.217 0.783 0.500 x4

E_tot = -6.1268 eV/atom
Formation energy = -0.5880 eV/atom